# 1
Ca11Al14O32: relaxed, PBE-GGA.

- volume (Å³/cell) = 1775.7
- crystal system = monoclinic
- final energy (eV/cell) = -814.7
- E_form (kJ/mol of formula units) = -18961
- calculated density (g/cm³) = 2.5

a = 17.1303 Å, b = 12.1009 Å, c = 12.0585 Å
α = 90.00°, β = 134.73°, γ = 90.00°
Space group C2 (No. 5)
Inequivalent atoms, fractional coordinates:
Ca (0.0000, 0.0000, 0.0000) (multiplicity 2)
Ca (0.0000, 0.2532, 0.5000) (multiplicity 2)
Ca (0.0000, 0.5253, 0.0000) (multiplicity 2)
Ca (0.1126, 0.3892, 0.8610) (multiplicity 4)
Ca (0.1337, 0.8811, 0.3886) (multiplicity 4)
Ca (0.2472, 0.6369, 0.6316) (multiplicity 4)
Ca (0.2503, 0.1355, 0.8871) (multiplicity 4)
Al (0.0000, 0.2614, 0.0000) (multiplicity 2)
Al (0.0000, 0.5144, 0.5000) (multiplicity 2)
Al (0.0169, 0.1192, 0.2498) (multiplicity 4)
Al (0.0174, 0.6524, 0.2866) (multiplicity 4)
Al (0.1254, 0.8848, 0.8735) (multiplicity 4)
Al (0.2264, 0.4027, 0.2124) (multiplicity 4)
Al (0.2326, 0.3692, 0.7495) (multiplicity 4)
Al (0.2492, 0.1354, 0.6249) (multiplicity 4)
O (0.0323, 0.7859, 0.7385) (multiplicity 4)
O (0.0432, 0.9907, 0.8490) (multiplicity 4)
O (0.0554, 0.1704, 0.1547) (multiplicity 4)
O (0.0620, 0.5843, 0.4525) (multiplicity 4)
O (0.0645, 0.2041, 0.7480) (multiplicity 4)
O (0.0683, 0.5712, 0.8844) (multiplicity 4)
O (0.0949, 0.3530, 0.0341) (multiplicity 4)
O (0.1007, 0.4224, 0.6554) (multiplicity 4)
O (0.1473, 0.0790, 0.4360) (multiplicity 4)
O (0.1499, 0.6886, 0.3619) (multiplicity 4)
O (0.1806, 0.9491, 0.2458) (multiplicity 4)
O (0.1919, 0.5400, 0.2235) (multiplicity 4)
O (0.1927, 0.2363, 0.6572) (multiplicity 4)
O (0.2147, 0.9384, 0.8605) (multiplicity 4)
O (0.2175, 0.8310, 0.0661) (multiplicity 4)
O (0.2185, 0.8210, 0.6302) (multiplicity 4)

# 2
Ta4SeS: relaxed, PBE-GGA.

- volume (Å³/cell) = 110.9
- crystal system = tetragonal
- final energy (eV/cell) = -58.1
- E_form (kJ/mol of formula units) = -340
- calculated density (g/cm³) = 12.5

a = 3.3629 Å, b = 3.3629 Å, c = 9.8088 Å
α = 90.00°, β = 90.00°, γ = 90.00°
Space group P4mm (No. 99)
Inequivalent atoms, fractional coordinates:
Ta (0.0000, 0.0000, 0.0000) (multiplicity 1)
Ta (0.0000, 0.0000, 0.3251) (multiplicity 1)
Ta (0.5000, 0.5000, 0.1573) (multiplicity 1)
Ta (0.5000, 0.5000, 0.8258) (multiplicity 1)
Se (0.5000, 0.5000, 0.4538) (multiplicity 1)
S (0.0000, 0.0000, 0.7285) (multiplicity 1)

# 3
Sm2Ga2Fe12Co3C: relaxed, PBE-GGA.

- volume (Å³/cell) = 532.6
- crystal system = monoclinic
- final energy (eV/cell) = -298.5
- E_form (kJ/mol of formula units) = -150
- calculated density (g/cm³) = 8.1

a = 9.7462 Å, b = 8.6154 Å, c = 6.4343 Å
α = 90.00°, β = 99.65°, γ = 90.00°
Space group C2/m (No. 12)
Inequivalent atoms, fractional coordinates:
Sm (0.1562, 0.0000, 0.3584) (multiplicity 4)
Ga (0.1040, 0.5000, 0.8973) (multiplicity 4)
Fe (0.0000, 0.2125, 0.0000) (multiplicity 4)
Fe (0.0929, 0.2529, 0.6573) (multiplicity 8)
Fe (0.1470, 0.3522, 0.2924) (multiplicity 8)
Fe (0.1556, 0.0000, 0.8489) (multiplicity 4)
Co (0.0000, 0.5000, 0.5000) (multiplicity 2)
Co (0.2500, 0.2500, 0.0000) (multiplicity 4)
C (0.0000, 0.0000, 0.0000) (multiplicity 2)

# 4
SmAlCu: relaxed, PBE-GGA.

- volume (Å³/cell) = 180.1
- crystal system = hexagonal
- final energy (eV/cell) = -41.4
- E_form (kJ/mol of formula units) = -119
- calculated density (g/cm³) = 6.7

a = 7.1299 Å, b = 7.1299 Å, c = 4.0902 Å
α = 90.00°, β = 90.00°, γ = 120.00°
Space group P-62m (No. 189)
Inequivalent atoms, fractional coordinates:
Sm (0.0000, 0.5837, 0.0000) (multiplicity 3)
Al (0.0000, 0.2325, 0.5000) (multiplicity 3)
Cu (0.0000, 0.0000, 0.0000) (multiplicity 1)
Cu (0.3333, 0.6667, 0.5000) (multiplicity 2)

# 5
CaMg14Co: relaxed, PBE-GGA.

- volume (Å³/cell) = 717.4
- crystal system = orthorhombic
- final energy (eV/cell) = -60.6
- E_form (kJ/mol of formula units) = 117
- calculated density (g/cm³) = 2.0

a = 10.1736 Å, b = 6.2577 Å, c = 11.2689 Å
α = 90.00°, β = 90.00°, γ = 90.00°
Space group Amm2 (No. 38)
Inequivalent atoms, fractional coordinates:
Ca (0.0000, 0.0000, 0.0000) (multiplicity 2)
Mg (0.0000, 0.2371, 0.2544) (multiplicity 4)
Mg (0.2209, 0.0000, 0.6398) (multiplicity 4)
Mg (0.2477, 0.2415, 0.4025) (multiplicity 8)
Mg (0.2640, 0.0000, 0.1543) (multiplicity 4)
Mg (0.5000, 0.0000, 0.4899) (multiplicity 2)
Mg (0.5000, 0.0000, 0.9857) (multiplicity 2)
Mg (0.5000, 0.2450, 0.7392) (multiplicity 4)
Co (0.0000, 0.0000, 0.4747) (multiplicity 2)

# 6
Na3Hg: relaxed, PBE-GGA.

- volume (Å³/cell) = 237.7
- crystal system = hexagonal
- final energy (eV/cell) = -9.7
- E_form (kJ/mol of formula units) = -55
- calculated density (g/cm³) = 3.8

a = 7.0818 Å, b = 7.0818 Å, c = 5.4718 Å
α = 90.00°, β = 90.00°, γ = 120.00°
Space group P6_3/mmc (No. 194)
Inequivalent atoms, fractional coordinates:
Na (0.1731, 0.3461, 0.2500) (multiplicity 6)
Hg (0.3333, 0.6667, 0.7500) (multiplicity 2)

# 7
Na6La2In2Si3S3O24: relaxed, PBE-GGA.

- volume (Å³/cell) = 1828.6
- crystal system = triclinic
- final energy (eV/cell) = -767.5
- E_form (kJ/mol of formula units) = -9801
- calculated density (g/cm³) = 3.3

a = 9.3991 Å, b = 9.4874 Å, c = 23.5898 Å
α = 90.15°, β = 90.48°, γ = 119.62°
Space group P1 (No. 1)
Inequivalent atoms, fractional coordinates:
Na (0.0000, 0.0000, 0.0000) (multiplicity 1)
Na (0.0014, 0.3211, 0.1648) (multiplicity 1)
Na (0.2870, 0.9961, 0.1573) (multiplicity 1)
Na (0.2970, 0.6218, 0.6395) (multiplicity 1)
Na (0.3167, 0.2943, 0.5606) (multiplicity 1)
Na (0.3225, 0.2962, 0.0798) (multiplicity 1)
Na (0.3285, 0.9520, 0.8119) (multiplicity 1)
Na (0.3607, 0.0186, 0.4754) (multiplicity 1)
Na (0.6023, 0.2561, 0.9885) (multiplicity 1)
Na (0.6159, 0.6223, 0.4842) (multiplicity 1)
Na (0.6302, 0.9861, 0.8987) (multiplicity 1)
Na (0.6388, 0.3377, 0.6337) (multiplicity 1)
Na (0.6591, 0.0021, 0.3887) (multiplicity 1)
Na (0.6764, 0.6523, 0.7954) (multiplicity 1)
Na (0.6816, 0.2864, 0.3122) (multiplicity 1)
Na (0.9669, 0.9527, 0.3028) (multiplicity 1)
Na (0.9718, 0.6446, 0.7177) (multiplicity 1)
Na (0.9851, 0.6381, 0.2325) (multiplicity 1)
La (0.3179, 0.2972, 0.9110) (multiplicity 1)
La (0.6338, 0.9677, 0.0578) (multiplicity 1)
La (0.6461, 0.9773, 0.7351) (multiplicity 1)
La (0.9795, 0.6508, 0.0881) (multiplicity 1)
La (0.9898, 0.6298, 0.8790) (multiplicity 1)
La (0.9912, 0.6197, 0.3775) (multiplicity 1)
In (0.3094, 0.2924, 0.2169) (multiplicity 1)
In (0.3236, 0.2944, 0.4055) (multiplicity 1)
In (0.3318, 0.3017, 0.7050) (multiplicity 1)
In (0.6473, 0.9780, 0.5511) (multiplicity 1)
In (0.6590, 0.9846, 0.2483) (multiplicity 1)
In (0.9647, 0.6425, 0.5783) (multiplicity 1)
Si (0.0241, 0.2950, 0.3111) (multiplicity 1)
Si (0.2909, 0.9431, 0.9769) (multiplicity 1)
Si (0.3230, 0.0044, 0.3123) (multiplicity 1)
Si (0.3318, 0.9617, 0.6441) (multiplicity 1)
Si (0.6193, 0.3056, 0.8112) (multiplicity 1)
Si (0.6432, 0.2763, 0.1506) (multiplicity 1)
Si (0.6464, 0.6672, 0.6454) (multiplicity 1)
Si (0.6749, 0.3301, 0.4812) (multiplicity 1)
Si (0.9544, 0.9810, 0.1503) (multiplicity 1)
S (0.0157, 0.0040, 0.8095) (multiplicity 1)
S (0.2934, 0.6392, 0.4864) (multiplicity 1)
S (0.3182, 0.6010, 0.8065) (multiplicity 1)
S (0.3524, 0.6616, 0.1531) (multiplicity 1)
S (0.6043, 0.6010, 0.3138) (multiplicity 1)
S (0.6804, 0.6441, 0.9762) (multiplicity 1)
S (0.9616, 0.2817, 0.6435) (multiplicity 1)
S (0.9769, 0.3253, 0.9831) (multiplicity 1)
S (0.9798, 0.9387, 0.4814) (multiplicity 1)
O (0.0130, 0.8584, 0.5306) (multiplicity 1)
O (0.0144, 0.8445, 0.8081) (multiplicity 1)
O (0.0834, 0.0857, 0.8647) (multiplicity 1)
O (0.1188, 0.1037, 0.7622) (multiplicity 1)
O (0.1232, 0.2839, 0.3675) (multiplicity 1)
O (0.1229, 0.3041, 0.9805) (multiplicity 1)
O (0.1259, 0.3222, 0.2529) (multiplicity 1)
O (0.1291, 0.1017, 0.4775) (multiplicity 1)
O (0.1285, 0.3029, 0.6511) (multiplicity 1)
O (0.1303, 0.1537, 0.1507) (multiplicity 1)
O (0.1485, 0.8331, 0.3171) (multiplicity 1)
O (0.1594, 0.7894, 0.6331) (multiplicity 1)
O (0.1750, 0.8449, 0.0303) (multiplicity 1)
O (0.1783, 0.6337, 0.8057) (multiplicity 1)
O (0.1859, 0.6475, 0.1513) (multiplicity 1)
O (0.1950, 0.6196, 0.5379) (multiplicity 1)
O (0.2047, 0.8521, 0.9159) (multiplicity 1)
O (0.2166, 0.6685, 0.4366) (multiplicity 1)
O (0.2947, 0.0917, 0.2571) (multiplicity 1)
O (0.3014, 0.1247, 0.9803) (multiplicity 1)
O (0.3047, 0.5026, 0.7558) (multiplicity 1)
O (0.3145, 0.4942, 0.4795) (multiplicity 1)
O (0.3186, 0.5181, 0.8594) (multiplicity 1)
O (0.3216, 0.1309, 0.6470) (multiplicity 1)
O (0.3308, 0.4971, 0.1580) (multiplicity 1)
O (0.3598, 0.1127, 0.3722) (multiplicity 1)
O (0.3969, 0.9246, 0.7044) (multiplicity 1)
O (0.4323, 0.7248, 0.0974) (multiplicity 1)
O (0.4446, 0.7736, 0.1995) (multiplicity 1)
O (0.4616, 0.7873, 0.4902) (multiplicity 1)
O (0.4688, 0.0044, 0.5942) (multiplicity 1)
O (0.4701, 0.4893, 0.6450) (multiplicity 1)
O (0.4743, 0.7604, 0.8073) (multiplicity 1)
O (0.4776, 0.2921, 0.1566) (multiplicity 1)
O (0.4789, 0.9745, 0.9778) (multiplicity 1)
O (0.4880, 0.3186, 0.4766) (multiplicity 1)
O (0.4921, 0.9918, 0.3078) (multiplicity 1)
O (0.5132, 0.5010, 0.9757) (multiplicity 1)
O (0.5174, 0.4940, 0.2656) (multiplicity 1)
O (0.5177, 0.3289, 0.7580) (multiplicity 1)
O (0.5181, 0.5313, 0.3689) (multiplicity 1)
O (0.5250, 0.2903, 0.8714) (multiplicity 1)
O (0.6104, 0.1785, 0.0888) (multiplicity 1)
O (0.6232, 0.1342, 0.8080) (multiplicity 1)
O (0.6261, 0.7663, 0.3087) (multiplicity 1)
O (0.6281, 0.7698, 0.5921) (multiplicity 1)
O (0.6458, 0.1432, 0.4895) (multiplicity 1)
O (0.6669, 0.1738, 0.2018) (multiplicity 1)
O (0.6696, 0.7599, 0.7062) (multiplicity 1)
O (0.6768, 0.7976, 0.9803) (multiplicity 1)
O (0.7622, 0.4509, 0.5373) (multiplicity 1)
O (0.7663, 0.6216, 0.0249) (multiplicity 1)
O (0.7683, 0.6511, 0.9229) (multiplicity 1)
O (0.7713, 0.6161, 0.3162) (multiplicity 1)
O (0.7765, 0.4104, 0.4240) (multiplicity 1)
O (0.7958, 0.4773, 0.8104) (multiplicity 1)
O (0.7974, 0.6260, 0.6410) (multiplicity 1)
O (0.8189, 0.4464, 0.1488) (multiplicity 1)
O (0.8273, 0.1614, 0.9822) (multiplicity 1)
O (0.8276, 0.9481, 0.4906) (multiplicity 1)
O (0.8332, 0.9562, 0.2030) (multiplicity 1)
O (0.8443, 0.9699, 0.8064) (multiplicity 1)
O (0.8454, 0.1219, 0.3123) (multiplicity 1)
O (0.8630, 0.2159, 0.6958) (multiplicity 1)
O (0.8742, 0.9858, 0.0879) (multiplicity 1)
O (0.8808, 0.1738, 0.5946) (multiplicity 1)
O (0.9522, 0.8407, 0.4294) (multiplicity 1)
O (0.9643, 0.4087, 0.9313) (multiplicity 1)
O (0.9766, 0.4413, 0.3121) (multiplicity 1)
O (0.9790, 0.4459, 0.6358) (multiplicity 1)
O (0.9859, 0.4181, 0.0340) (multiplicity 1)
O (0.9992, 0.8331, 0.1536) (multiplicity 1)

# 8
SiO2: relaxed, PBE-GGA.

- volume (Å³/cell) = 2569.0
- crystal system = cubic
- final energy (eV/cell) = -948.2
- E_form (kJ/mol of formula units) = -942
- calculated density (g/cm³) = 1.6

a = 13.6958 Å, b = 13.6958 Å, c = 13.6958 Å
α = 90.00°, β = 90.00°, γ = 90.00°
Space group Fm-3m (No. 225)
Inequivalent atoms, fractional coordinates:
Si (0.1142, 0.1142, 0.1142) (multiplicity 32)
Si (0.2500, 0.2500, 0.2500) (multiplicity 8)
O (0.0000, 0.1377, 0.1377) (multiplicity 48)
O (0.1819, 0.1819, 0.1819) (multiplicity 32)